Here is Li3N after structural relaxation from the Materials Project database. Energies are from r²SCAN.

Computed properties:
For the total magnetization, the calculation gives 0.0 μB per cell. The total energy comes out at -4.5508 eV/atom. The calculation puts the formation energy at -0.48 eV/atom.

```
data_Li3N
_chemical_formula_sum 'Li6 N2'
_cell_length_a 3.5241
_cell_length_b 3.5241
_cell_length_c 6.2595
_cell_angle_alpha 90.00
_cell_angle_beta 90.00
_cell_angle_gamma 120.00
_space_group_name_H-M_alt 'P 63/m m c'
_space_group_IT_number 194
_space_group_name_Hall '-P 6c 2c'
loop_
_atom_site_label
_atom_site_fract_x
_atom_site_fract_y
_atom_site_fract_z
Li1 0.0000 0.0000 0.2500
Li2 0.3333 0.6667 0.0770
N1 0.3333 0.6667 0.7500
```